A geometry-optimized Ti2O3 structure, computed with PBE-GGA.

```
Ti2O3
1.0
-1.5856 2.0385 1.2170
-5.7701 -5.2238 1.2323
3.2359 -1.8490 7.3134
Ti O
8 12
direct
0.2500 0.1959 0.0183 Ti
0.2500 0.5299 0.8160 Ti
0.7500 0.4701 0.1840 Ti
0.7500 0.3041 0.5183 Ti
0.7500 0.8041 0.9817 Ti
0.2500 0.0299 0.6840 Ti
0.2500 0.6959 0.4817 Ti
0.7500 0.9701 0.3160 Ti
0.2500 0.7920 0.8107 O
0.7500 0.5568 0.6251 O
0.7500 0.8792 0.5533 O
0.7500 0.7080 0.3107 O
0.2500 0.6208 0.0533 O
0.2500 0.9432 0.1251 O
0.7500 0.2080 0.1893 O
0.2500 0.1208 0.4467 O
0.2500 0.4432 0.3749 O
0.7500 0.0568 0.8749 O
0.2500 0.2920 0.6893 O
0.7500 0.3792 0.9467 O
```

- ΔE_f (eV/f.u.) = -16.395
- space group = Pnma, No. 62
- calculated density (Mg/m³) = 5.170